1.
## CeDyC4 (GGA-PBE)

Data for crystalline CeDyC4 at its relaxed geometry.

Geometry as CIF:
```
data_CeDyC4
_chemical_formula_sum 'Ce1 Dy1 C4'
_symmetry_space_group_name_H-M 'P 4/m m m'
_symmetry_Int_Tables_number 123
_symmetry_space_group_name_Hall '-P 4 2'
_cell_length_a 3.719
_cell_length_b 3.719
_cell_length_c 6.263
_cell_angle_alpha 90.00
_cell_angle_beta 90.00
_cell_angle_gamma 90.00
loop_
_atom_site_label
_atom_site_fract_x
_atom_site_fract_y
_atom_site_fract_z
_atom_site_occupancy
Ce1 0.000 0.000 0.000 1
Dy1 0.500 0.500 0.500 1
C1 0.000 0.000 0.396 1
C2 0.500 0.500 0.105 1
```

***

2.
## Na3Ce2C4O12F (GGA-PBE)

Data for crystalline Na3Ce2C4O12F at its relaxed geometry.

Geometry as CIF:
```
data_Na3Ce2C4O12F
_chemical_formula_sum 'Na6 Ce4 C8 O24 F2'
_symmetry_space_group_name_H-M 'P 63/m m c'
_symmetry_Int_Tables_number 194
_symmetry_space_group_name_Hall '-P 6c 2c'
_cell_length_a 5.1193
_cell_length_b 5.1193
_cell_length_c 22.9201
_cell_angle_alpha 90.00
_cell_angle_beta 90.00
_cell_angle_gamma 120.00
loop_
_atom_site_label
_atom_site_fract_x
_atom_site_fract_y
_atom_site_fract_z
_atom_site_occupancy
Na1 0.0000 0.0000 0.2500 1
Na2 0.3333 0.6667 0.0228 1
Ce1 0.3333 0.6667 0.6454 1
C1 0.0000 0.0000 0.0633 1
C2 0.3333 0.6667 0.1768 1
O1 0.1465 0.2931 0.5624 1
O2 0.1875 0.3749 0.1755 1
F1 0.3333 0.6667 0.7500 1
```

***

3.
## Ce2Fe17C (GGA-PBE)

Data for crystalline Ce2Fe17C at its relaxed geometry.

Geometry as CIF:
```
data_Ce2Fe17C
_chemical_formula_sum 'Ce4 Fe34 C2'
_symmetry_space_group_name_H-M 'C 1 2/m 1'
_symmetry_Int_Tables_number 12
_symmetry_space_group_name_Hall '-C 2y'
_cell_length_a 9.693
_cell_length_b 8.586
_cell_length_c 6.487
_cell_angle_alpha 90.00
_cell_angle_beta 98.93
_cell_angle_gamma 90.00
loop_
_atom_site_label
_atom_site_fract_x
_atom_site_fract_y
_atom_site_fract_z
_atom_site_occupancy
Ce1 0.165 0.000 0.355 1
Fe1 0.000 0.216 0.000 1
Fe2 0.000 0.500 0.500 1
Fe3 0.095 0.253 0.657 1
Fe4 0.096 0.500 0.903 1
Fe5 0.144 0.356 0.286 1
Fe6 0.156 0.000 0.853 1
Fe7 0.250 0.250 0.000 1
C1 0.000 0.000 0.000 1
```

***

4.
## Ce5Ge3C (GGA-PBE)

Data for crystalline Ce5Ge3C at its relaxed geometry.

Geometry as CIF:
```
data_Ce5Ge3C
_chemical_formula_sum 'Ce10 Ge6 C2'
_symmetry_space_group_name_H-M 'P 63/m c m'
_symmetry_Int_Tables_number 193
_symmetry_space_group_name_Hall '-P 6c 2'
_cell_length_a 8.8565
_cell_length_b 8.8565
_cell_length_c 6.2671
_cell_angle_alpha 90.00
_cell_angle_beta 90.00
_cell_angle_gamma 120.00
loop_
_atom_site_label
_atom_site_fract_x
_atom_site_fract_y
_atom_site_fract_z
_atom_site_occupancy
Ce1 0.0000 0.2264 0.2500 1
Ce2 0.3333 0.6667 0.0000 1
Ge1 0.0000 0.3951 0.7500 1
C1 0.0000 0.0000 0.0000 1
```

***

5.
## Na2CeH2C5O11 (GGA-PBE)

Data for crystalline Na2CeH2C5O11 at its relaxed geometry.

Geometry as CIF:
```
data_Na2CeH2C5O11
_chemical_formula_sum 'Na8 Ce4 H8 C20 O44'
_symmetry_space_group_name_H-M 'P 1 21/c 1'
_symmetry_Int_Tables_number 14
_symmetry_space_group_name_Hall '-P 2ybc'
_cell_length_a 7.900
_cell_length_b 11.723
_cell_length_c 13.055
_cell_angle_alpha 90.00
_cell_angle_beta 115.38
_cell_angle_gamma 90.00
loop_
_atom_site_label
_atom_site_fract_x
_atom_site_fract_y
_atom_site_fract_z
_atom_site_occupancy
Na1 0.215 0.205 0.074 1
Na2 0.220 0.188 0.334 1
Ce1 0.298 0.685 0.174 1
H1 0.006 0.090 0.865 1
H2 0.202 0.070 0.866 1
C1 0.082 0.027 0.490 1
C2 0.176 0.722 0.397 1
C3 0.389 0.743 0.448 1
C4 0.396 0.532 0.727 1
C5 0.414 0.079 0.761 1
O1 0.045 0.118 0.431 1
O2 0.095 0.702 0.292 1
O3 0.102 0.724 0.466 1
O4 0.139 0.113 0.905 1
O5 0.238 0.522 0.034 1
O6 0.260 0.602 0.697 1
O7 0.296 0.006 0.764 1
O8 0.387 0.074 0.246 1
O9 0.389 0.185 0.752 1
O10 0.467 0.717 0.047 1
O11 0.471 0.718 0.386 1
```

***

6.
## NaCeP2H2CO7 (GGA-PBE)

Data for crystalline NaCeP2H2CO7 at its relaxed geometry.

Geometry as CIF:
```
data_NaCeP2H2CO7
_chemical_formula_sum 'Na4 Ce4 P8 H8 C4 O28'
_symmetry_space_group_name_H-M 'P 1 21/c 1'
_symmetry_Int_Tables_number 14
_symmetry_space_group_name_Hall '-P 2ybc'
_cell_length_a 6.753
_cell_length_b 15.597
_cell_length_c 6.680
_cell_angle_alpha 90.00
_cell_angle_beta 90.28
_cell_angle_gamma 90.00
loop_
_atom_site_label
_atom_site_fract_x
_atom_site_fract_y
_atom_site_fract_z
_atom_site_occupancy
Na1 0.191 0.032 0.358 1
Ce1 0.306 0.610 0.385 1
P1 0.187 0.095 0.869 1
P2 0.472 0.662 0.889 1
H1 0.178 0.202 0.613 1
H2 0.312 0.237 0.826 1
C1 0.288 0.183 0.726 1
O1 0.001 0.628 0.525 1
O2 0.084 0.652 0.181 1
O3 0.140 0.021 0.723 1
O4 0.337 0.062 0.027 1
O5 0.350 0.606 0.744 1
O6 0.388 0.748 0.428 1
O7 0.497 0.113 0.410 1
```

***

7.
## CeP2H2CO6 (GGA-PBE)

Data for crystalline CeP2H2CO6 at its relaxed geometry.

Geometry as CIF:
```
data_CeP2H2CO6
_chemical_formula_sum 'Ce4 P8 H8 C4 O24'
_symmetry_space_group_name_H-M 'C 1 2/m 1'
_symmetry_Int_Tables_number 12
_symmetry_space_group_name_Hall '-C 2y'
_cell_length_a 8.495
_cell_length_b 13.945
_cell_length_c 5.390
_cell_angle_alpha 90.00
_cell_angle_beta 113.18
_cell_angle_gamma 90.00
loop_
_atom_site_label
_atom_site_fract_x
_atom_site_fract_y
_atom_site_fract_z
_atom_site_occupancy
Ce1 0.000 0.235 0.000 1
P1 0.246 0.385 0.369 1
H1 0.098 0.000 0.764 1
H2 0.182 0.500 0.021 1
C1 0.228 0.000 0.766 1
O1 0.055 0.363 0.294 1
O2 0.142 0.121 0.327 1
O3 0.202 0.192 0.797 1
```

***

8.
# Rb4CeH12C3O17 | Materials Project | GGA-PBE | relaxed
# Distance to the lowest polymorph of the same formula (eV/f.u.): 0.00
data_Rb4CeH12C3O17
_chemical_formula_sum 'Rb8 Ce2 H24 C6 O34'
_symmetry_space_group_name_H-M 'P -1'
_symmetry_Int_Tables_number 2
_symmetry_space_group_name_Hall '-P 1'
_cell_length_a 9.375
_cell_length_b 11.797
_cell_length_c 11.819
_cell_angle_alpha 60.60
_cell_angle_beta 85.68
_cell_angle_gamma 74.46
loop_
_atom_site_label
_atom_site_fract_x
_atom_site_fract_y
_atom_site_fract_z
_atom_site_occupancy
Rb1 0.147 0.172 0.079 1
Rb2 0.269 0.208 0.487 1
Rb3 0.275 0.731 0.348 1
Rb4 0.289 0.536 0.032 1
Ce1 0.117 0.843 0.614 1
H1 0.033 0.328 0.793 1
H2 0.040 0.751 0.506 1
H3 0.052 0.258 0.705 1
H4 0.074 0.883 0.101 1
H5 0.209 0.908 0.012 1
H6 0.264 0.448 0.808 1
H7 0.307 0.428 0.598 1
H8 0.430 0.142 0.294 1
H9 0.454 0.093 0.747 1
H10 0.466 0.159 0.732 1
H11 0.482 0.784 0.954 1
H12 0.496 0.630 0.170 1
C1 0.048 0.551 0.794 1
C2 0.243 0.881 0.805 1
C3 0.444 0.643 0.678 1
O1 0.002 0.446 0.850 1
O2 0.030 0.329 0.238 1
O3 0.048 0.241 0.795 1
O4 0.087 0.982 0.382 1
O5 0.139 0.049 0.440 1
O6 0.148 0.808 0.834 1
O7 0.158 0.923 0.083 1
O8 0.192 0.544 0.763 1
O9 0.263 0.947 0.681 1
O10 0.310 0.886 0.891 1
O11 0.368 0.740 0.573 1
O12 0.389 0.577 0.226 1
O13 0.406 0.321 0.875 1
O14 0.418 0.285 0.013 1
O15 0.434 0.012 0.011 1
O16 0.444 0.634 0.787 1
O17 0.465 0.456 0.346 1

***

DFT formation energy (computed, eV per atom): -0.165, -2.535, -0.008, -0.607, -1.952, -2.162, -2.293, -1.303
V (computed, Å³/f.u.): 86.6, 260.1, 266.7, 212.9, 273.1, 175.9, 146.7, 547.4